(1)
Material: MgNb2Te4Cl10O
Method: DFT, GGA-PBE
State: relaxed

Crystal system   triclinic
Energy   -4.272 eV/atom
ΔE_f   -1.098 eV/atom

Cell: 7.158 9.046 9.675 Å, 82.81 90.77 76.03°
Positions (direct):
O  0.512  0.495  0.497
Mg  0.399  0.696  0.338
Te  0.815  0.085  0.831
Cl  0.406  0.468  0.814
Cl  0.863  0.473  0.702
Cl  0.606  0.521  0.195
Te  0.105  0.966  0.184
Cl  0.803  0.198  0.441
Cl  0.335  0.205  0.538
Cl  0.220  0.778  0.551
Cl  0.559  0.810  0.792
Nb  0.542  0.616  0.649
Nb  0.492  0.338  0.379
Cl  0.656  0.782  0.446
Te  0.061  0.216  0.962
Cl  0.452  0.195  0.194
Te  0.910  0.819  0.022
Cl  0.172  0.529  0.299



(2)
Material: MgNb2Te4Cl10O
Method: DFT, GGA-PBE
State: relaxed

Crystal system   triclinic
Energy   -4.276 eV/atom
ΔE_f   -1.103 eV/atom

Cell: 6.931 9.104 9.813 Å, 80.76 87.71 73.53°
Positions (direct):
Cl  0.803  0.207  0.431
Cl  0.618  0.516  0.187
Te  0.922  0.804  0.035
Nb  0.481  0.357  0.356
Cl  0.324  0.225  0.530
Te  0.089  0.183  0.990
Cl  0.456  0.192  0.197
Cl  0.173  0.825  0.587
Cl  0.667  0.795  0.463
Cl  0.856  0.471  0.704
Te  0.802  0.090  0.868
Mg  0.893  0.733  0.657
O  0.488  0.504  0.497
Nb  0.503  0.620  0.627
Te  0.204  0.899  0.160
Cl  0.360  0.504  0.824
Cl  0.600  0.810  0.797
Cl  0.151  0.537  0.290



(3)
Material: MgNb2Te4Cl10O
Method: DFT, GGA-PBE
State: relaxed

Crystal system   triclinic
Energy   -4.268 eV/atom
ΔE_f   -1.095 eV/atom

Cell: 7.123 8.929 9.370 Å, 82.72 89.98 75.75°
Positions (direct):
Cl  0.192  0.801  0.565
Nb  0.491  0.370  0.354
Cl  0.855  0.474  0.720
Te  0.813  0.080  0.839
Cl  0.658  0.795  0.453
Te  0.219  0.906  0.140
Nb  0.504  0.660  0.620
Te  0.051  0.204  0.005
Cl  0.549  0.804  0.813
O  0.503  0.497  0.505
Cl  0.450  0.182  0.195
Cl  0.616  0.522  0.180
Cl  0.161  0.515  0.291
Mg  0.188  0.344  0.727
Te  0.928  0.802  0.018
Cl  0.388  0.483  0.824
Cl  0.789  0.197  0.431
Cl  0.332  0.199  0.549



Repeat the first record exactly.
Material: MgNb2Te4Cl10O
Method: DFT, GGA-PBE
State: relaxed

Crystal system   triclinic
Energy   -4.272 eV/atom
ΔE_f   -1.098 eV/atom

Cell: 7.158 9.046 9.675 Å, 82.81 90.77 76.03°
Positions (direct):
O  0.512  0.495  0.497
Mg  0.399  0.696  0.338
Te  0.815  0.085  0.831
Cl  0.406  0.468  0.814
Cl  0.863  0.473  0.702
Cl  0.606  0.521  0.195
Te  0.105  0.966  0.184
Cl  0.803  0.198  0.441
Cl  0.335  0.205  0.538
Cl  0.220  0.778  0.551
Cl  0.559  0.810  0.792
Nb  0.542  0.616  0.649
Nb  0.492  0.338  0.379
Cl  0.656  0.782  0.446
Te  0.061  0.216  0.962
Cl  0.452  0.195  0.194
Te  0.910  0.819  0.022
Cl  0.172  0.529  0.299